Material: MgSc2Tl
Method: DFT, meta-GGA r2SCAN
State: optimized geometry

Summary:
magnetization = 4.8 μB/cell
energy relative to the elements = -22.4 kJ/mol of atoms
E = -324.3 eV/cell

a = 7.1285 Å, b = 7.1285 Å, c = 7.1285 Å
α = 90.00°, β = 90.00°, γ = 90.00°
Last column: nearest neighbours and their distance in Å.
Space group Fm-3m (No. 225)
Unique sites:
Mg  0.0000  0.0000  0.0000 [4 per cell]  8 Sc 3.09
Sc  0.2500  0.2500  0.2500 [8 per cell]  4 Tl 3.09, 4 Mg 3.09
Tl  0.0000  0.0000  0.5000 [4 per cell]  8 Sc 3.09